No. 1
Computed, not measured: a relaxed Er2ZnIn crystal at the r2SCAN level of DFT.

Cell: 5.1171 5.1171 5.1171 Å, 60.00 60.00 60.00°
Closest atoms and distances in Å follow each position.
Element x y z (fractional)
Er: 0.0000 0.0000 0.0000  4 Zn 3.13, 4 In 3.13
Er: 0.5000 0.5000 0.5000  4 Zn 3.13, 4 In 3.13
Zn: 0.7500 0.7500 0.7500  8 Er 3.13
In: 0.2500 0.2500 0.2500  8 Er 3.13

The calculation puts the magnetization at 0.0 Bohr magnetons per cell. The calculation puts the total energy at -25.305 eV per atom. As for the density: 9.0 g cm⁻³. Its crystal system is cubic.


No. 2
Computed, not measured: a relaxed Rh2Se9Br6 crystal at the r2SCAN level of DFT.

Cell: 15.5190 15.5190 15.5190 Å, 132.06 132.06 70.13°
Closest atoms and distances in Å follow each position.
Element x y z (fractional)
Se: 0.0463 0.4043 0.3616  2 Se 2.36-2.51, 1 Rh 2.40
Se: 0.7037 0.8457 0.1384  2 Se 2.36-2.51, 1 Rh 2.40
Se: 0.4347 0.2963 0.1420  2 Se 2.36-2.51, 1 Rh 2.40
Se: 0.6887 0.0638 0.5598  2 Se 2.39-2.47, 1 Rh 2.41
Se: 0.0613 0.1862 0.9402  2 Se 2.39-2.47, 1 Rh 2.41
Se: 0.7478 0.2202 0.8061  2 Se 2.36-2.39
Se: 0.1543 0.2927 0.8580  2 Se 2.36-2.51, 1 Rh 2.40
Se: 0.9362 0.4960 0.6248  2 Se 2.39-2.47, 1 Rh 2.41
Se: 0.3360 0.3083 0.3061  2 Se 2.36-2.39
Se: 0.6917 0.9978 0.0276  2 Se 2.36-2.39
Se: 0.0022 0.0298 0.6939  2 Se 2.36-2.39
Se: 0.5823 0.8286 0.9104  2 Se 2.36-2.51, 1 Rh 2.40
Se: 0.6439 0.6439 0.0000  2 Se 2.36
Se: 0.3281 0.4177 0.2463  2 Se 2.36-2.51, 1 Rh 2.40
Se: 0.8138 0.7540 0.8752  2 Se 2.39-2.47, 1 Rh 2.41
Se: 0.8318 0.5781 0.4104  2 Se 2.36-2.51, 1 Rh 2.40
Se: 0.5786 0.1682 0.7463  2 Se 2.36-2.51, 1 Rh 2.40
Se: 0.5040 0.1288 0.4402  2 Se 2.39-2.47, 1 Rh 2.41
Se: 0.9702 0.6640 0.9724  2 Se 2.36-2.39
Se: 0.4140 0.9417 0.1939  2 Se 2.36-2.39
Se: 0.1677 0.4214 0.5896  2 Se 2.36-2.51, 1 Rh 2.40
Se: 0.8712 0.3113 0.3752  2 Se 2.39-2.47, 1 Rh 2.41
Se: 0.3561 0.3561 0.0000  2 Se 2.36
Se: 0.7073 0.5653 0.8616  2 Se 2.36-2.51, 1 Rh 2.40
Se: 0.7798 0.5860 0.5276  2 Se 2.36-2.39
Se: 0.8788 0.9387 0.1248  2 Se 2.39-2.47, 1 Rh 2.41
Se: 0.1061 0.6061 0.5000  2 Se 2.36
Se: 0.0583 0.2522 0.4724  2 Se 2.36-2.39
Se: 0.9182 0.6719 0.0896  2 Se 2.36-2.51, 1 Rh 2.40
Se: 0.0427 0.6847 0.6384  2 Se 2.36-2.51, 1 Rh 2.40
Se: 0.2460 0.1212 0.0598  2 Se 2.39-2.47, 1 Rh 2.41
Se: 0.5957 0.9573 0.6420  2 Se 2.36-2.51, 1 Rh 2.40
Se: 0.4219 0.8323 0.2537  2 Se 2.36-2.51, 1 Rh 2.40
Se: 0.1714 0.0818 0.7537  2 Se 2.36-2.51, 1 Rh 2.40
Se: 0.3939 0.8939 0.5000  2 Se 2.36
Se: 0.3153 0.9537 0.3580  2 Se 2.36-2.51, 1 Rh 2.40
Rh: 0.6239 0.8797 0.4685  3 Se 2.40-2.41, 3 Br 2.52-2.54
Rh: 0.6297 0.6612 0.7558  3 Se 2.40-2.41, 3 Br 2.52-2.54
Rh: 0.3388 0.0946 0.9685  3 Se 2.40-2.41, 3 Br 2.52-2.54
Rh: 0.1261 0.3703 0.0315  3 Se 2.40-2.41, 3 Br 2.52-2.54
Rh: 0.8446 0.3761 0.2558  3 Se 2.40-2.41, 3 Br 2.52-2.54
Rh: 0.1203 0.5888 0.7442  3 Se 2.40-2.41, 3 Br 2.52-2.54
Rh: 0.9054 0.8739 0.2442  3 Se 2.40-2.41, 3 Br 2.52-2.54
Rh: 0.4112 0.1554 0.5315  3 Se 2.40-2.41, 3 Br 2.52-2.54
Br: 0.3145 0.2099 0.6397  1 Rh 2.53
Br: 0.0720 0.4610 0.1942  1 Rh 2.52
Br: 0.4355 0.0401 0.8603  1 Rh 2.53
Br: 0.8409 0.1616 0.0699  1 Rh 2.54
Br: 0.0917 0.7710 0.9301  1 Rh 2.54
Br: 0.1221 0.9280 0.3890  1 Rh 2.52
Br: 0.2290 0.1591 0.3207  1 Rh 2.54
Br: 0.9116 0.3417 0.8207  1 Rh 2.54
Br: 0.9091 0.0884 0.4301  1 Rh 2.54
Br: 0.5390 0.7331 0.6110  1 Rh 2.52
Br: 0.2110 0.5169 0.8890  1 Rh 2.52
Br: 0.5703 0.6748 0.3603  1 Rh 2.53
Br: 0.6780 0.7890 0.3058  1 Rh 2.52
Br: 0.6279 0.3220 0.1110  1 Rh 2.52
Br: 0.8384 0.9083 0.6793  1 Rh 2.54
Br: 0.4248 0.5645 0.6045  1 Rh 2.53
Br: 0.7901 0.4297 0.1045  1 Rh 2.53
Br: 0.9599 0.8203 0.3955  1 Rh 2.53
Br: 0.3252 0.6855 0.8955  1 Rh 2.53
Br: 0.2669 0.8779 0.8058  1 Rh 2.52
Br: 0.6583 0.4790 0.5699  1 Rh 2.54
Br: 0.1797 0.5752 0.1397  1 Rh 2.53
Br: 0.5210 0.0909 0.1793  1 Rh 2.54
Br: 0.4831 0.3721 0.6942  1 Rh 2.52

The calculation puts the magnetization at 0.0 Bohr magnetons per cell. The calculation puts the total energy at -15.416 eV per atom. As for the density: 4.6 g cm⁻³. Its crystal system is tetragonal.


No. 3
Computed, not measured: a relaxed Tb2CuAg crystal at the r2SCAN level of DFT.

Cell: 3.5162 3.5162 7.1875 Å, 90.00 90.00 90.00°
Closest atoms and distances in Å follow each position.
Element x y z (fractional)
Cu: 0.0000 0.0000 0.5000  8 Tb 3.01
Tb: 0.5000 0.5000 0.7354  4 Cu 3.01, 4 Ag 3.13
Tb: 0.5000 0.5000 0.2646  4 Cu 3.01, 4 Ag 3.13
Ag: 0.0000 0.0000 0.0000  8 Tb 3.13

The calculation puts the magnetization at 0.0 Bohr magnetons per cell. The calculation puts the total energy at -23.958 eV per atom. As for the density: 9.1 g cm⁻³. Its crystal system is tetragonal.


No. 4
Computed, not measured: a relaxed PmInAg2 crystal at the r2SCAN level of DFT.

Cell: 4.9881 4.9880 4.9880 Å, 60.00 60.00 60.00°
Closest atoms and distances in Å follow each position.
Element x y z (fractional)
Pm: 0.7500 0.7500 0.7500  8 Ag 3.05
In: 0.2500 0.2500 0.2500  8 Ag 3.05
Ag: 0.0000 0.0000 0.0000  4 Pm 3.05, 4 In 3.05
Ag: 0.5000 0.5000 0.5000  4 Pm 3.05, 4 In 3.05

The calculation puts the magnetization at 0.0 Bohr magnetons per cell. The calculation puts the total energy at -24.133 eV per atom. As for the density: 9.0 g cm⁻³. Its crystal system is cubic.